# SrH16O10 (GGA-PBE, optimized geometry)
# calculated formation energy: -1.340 eV per atom
# energy above the most stable polymorph in this dataset: 0.0621 eV/atom
# calculated total energy: -539.071 eV for the cell shown
data_SrH16O10
_chemical_formula_sum 'Sr4 H64 O40'
_cell_length_a 8.932
_cell_length_b 9.416
_cell_length_c 11.718
_cell_angle_alpha 90.00
_cell_angle_beta 91.07
_cell_angle_gamma 90.00
_symmetry_space_group_name_H-M 'C 1 c 1'
_symmetry_Int_Tables_number 9
_symmetry_space_group_name_Hall 'C -2yc'
loop_
_atom_site_label
_atom_site_fract_x
_atom_site_fract_y
_atom_site_fract_z
Sr1 0.000 0.012 0.000
H1 0.065 0.315 0.885
H2 0.069 0.216 0.698
H3 0.153 0.452 0.090
H4 0.165 0.171 0.855
H5 0.179 0.472 0.388
H6 0.186 0.246 0.604
H7 0.229 0.131 0.341
H8 0.248 0.162 0.155
H9 0.277 0.443 0.274
H10 0.306 0.334 0.102
H11 0.349 0.281 0.868
H12 0.350 0.033 0.405
H13 0.360 0.058 0.091
H14 0.440 0.277 0.702
H15 0.458 0.177 0.593
H16 0.474 0.166 0.898
O1 0.016 0.478 0.936
O2 0.019 0.469 0.062
O3 0.067 0.217 0.848
O4 0.087 0.206 0.615
O5 0.239 0.038 0.378
O6 0.259 0.107 0.086
O7 0.280 0.431 0.123
O8 0.283 0.453 0.359
O9 0.420 0.276 0.619
O10 0.456 0.263 0.864